Entry 1:
# Ba4P3 | the Materials Project database | PBE | relaxed
data_Ba4P3
_chemical_formula_sum 'Ba32 P24'
_cell_length_a 12.7005
_cell_length_b 13.4977
_cell_length_c 11.3762
_cell_angle_alpha 90.00
_cell_angle_beta 90.00
_cell_angle_gamma 90.00
_space_group_name_H-M_alt 'P b a m'
_space_group_IT_number 55
loop_
_space_group_symop_operation_xyz
'x,y,z'
'-x,-y,-z'
'-x,-y,z'
'x,y,-z'
'x+1/2,-y+1/2,-z'
'-x+1/2,y+1/2,z'
'-x+1/2,y+1/2,-z'
'x+1/2,-y+1/2,z'
loop_
_atom_site_label
_atom_site_fract_x
_atom_site_fract_y
_atom_site_fract_z
Ba1 0.0000 0.0000 0.1800
Ba2 0.0994 0.2633 0.2841
Ba3 0.1075 0.7052 0.0000
Ba4 0.1201 0.8752 0.5000
Ba5 0.1691 0.5680 0.3192
Ba6 0.2254 0.4198 0.0000
P1 0.0000 0.5000 0.1008
P2 0.0341 0.4224 0.5000
P3 0.1387 0.1130 0.5000
P4 0.1400 0.1353 0.0000
P5 0.1623 0.8210 0.2361
# Energy of formation ... -96.95 kJ per mole of atoms

***

Entry 2:
# Ba5P4 | the Materials Project database | PBE | relaxed
data_Ba5P4
_chemical_formula_sum 'Ba20 P16'
_cell_length_a 16.7229
_cell_length_b 8.4362
_cell_length_c 8.5207
_cell_angle_alpha 90.00
_cell_angle_beta 90.00
_cell_angle_gamma 90.00
_space_group_name_H-M_alt 'C m c e'
_space_group_IT_number 64
_space_group_name_Hall '-C 2ac 2'
loop_
_atom_site_label
_atom_site_fract_x
_atom_site_fract_y
_atom_site_fract_z
Ba1 0.0000 0.0000 0.0000
Ba2 0.1473 0.1677 0.3379
P1 0.0000 0.0970 0.5952
P2 0.1967 0.0000 0.0000
# Energy of formation ... -97.57 kJ per mole of atoms

***

Entry 3:
# Ba2PPd2 | the Materials Project database | PBE | relaxed
data_Ba2PPd2
_chemical_formula_sum 'Ba8 P4 Pd8'
_cell_length_a 7.8461
_cell_length_b 9.7895
_cell_length_c 6.8835
_cell_angle_alpha 90.00
_cell_angle_beta 90.00
_cell_angle_gamma 90.00
_space_group_name_H-M_alt 'P n m a'
_space_group_IT_number 62
loop_
_space_group_symop_operation_xyz
'x,y,z'
'-x,-y,-z'
'-x+1/2,-y,z+1/2'
'x+1/2,y,-z+1/2'
'x+1/2,-y+1/2,-z+1/2'
'-x+1/2,y+1/2,z+1/2'
'-x,y+1/2,-z'
'x,-y+1/2,z'
loop_
_atom_site_label
_atom_site_fract_x
_atom_site_fract_y
_atom_site_fract_z
Ba1 0.2396 0.0588 0.0050
P1 0.0886 0.7500 0.8424
Pd1 0.0458 0.7500 0.1952
Pd2 0.1053 0.2500 0.4376
# Energy of formation ... -67.01 kJ per mole of atoms
# Total magnetic moment ... 0.0 μB/f.u.

***

Entry 4:
# BaP4Pd2 | the Materials Project database | PBE | relaxed
data_BaP4Pd2
_chemical_formula_sum 'Ba2 P8 Pd4'
_cell_length_a 6.8942
_cell_length_b 6.8942
_cell_length_c 5.9996
_cell_angle_alpha 90.00
_cell_angle_beta 90.00
_cell_angle_gamma 90.00
_space_group_name_H-M_alt 'I 4/m m m'
_space_group_IT_number 139
_space_group_name_Hall '-I 4 2'
loop_
_atom_site_label
_atom_site_fract_x
_atom_site_fract_y
_atom_site_fract_z
Ba1 0.0000 0.0000 0.0000
P1 0.0000 0.2260 0.5000
Pd1 0.0000 0.5000 0.2500
# Energy of formation ... -64.18 kJ per mole of atoms

***

Entry 5:
# BaP2Pd2 | the Materials Project database | PBE | relaxed
data_BaP2Pd2
_chemical_formula_sum 'Ba1 P2 Pd2'
_cell_length_a 4.3112
_cell_length_b 4.3112
_cell_length_c 5.7284
_cell_angle_alpha 90.00
_cell_angle_beta 90.00
_cell_angle_gamma 90.00
_space_group_name_H-M_alt 'P 4/m m m'
_space_group_IT_number 123
_space_group_name_Hall '-P 4 2'
loop_
_atom_site_label
_atom_site_fract_x
_atom_site_fract_y
_atom_site_fract_z
Ba1 0.0000 0.0000 0.0000
P1 0.5000 0.5000 0.2904
Pd1 0.0000 0.5000 0.5000
# Energy of formation ... -76.98 kJ per mole of atoms

***

Entry 6:
# BaPPt | the Materials Project database | PBE | relaxed
data_BaPPt
_chemical_formula_sum 'Ba4 P4 Pt4'
_cell_length_a 6.6239
_cell_length_b 6.6239
_cell_length_c 6.6239
_cell_angle_alpha 90.00
_cell_angle_beta 90.00
_cell_angle_gamma 90.00
_space_group_name_H-M_alt 'P 21 3'
_space_group_IT_number 198
_space_group_name_Hall 'P 2ac 2ab 3'
loop_
_atom_site_label
_atom_site_fract_x
_atom_site_fract_y
_atom_site_fract_z
Ba1 0.1403 0.1403 0.1403
P1 0.0837 0.5837 0.9163
Pt1 0.1509 0.3491 0.6509
# Energy of formation ... -104.22 kJ per mole of atoms

***

Entry 7:
# RbBaPS4 | the Materials Project database | PBE | relaxed
data_RbBaPS4
_chemical_formula_sum 'Rb4 Ba4 P4 S16'
_cell_length_a 11.7277
_cell_length_b 6.8325
_cell_length_c 10.2143
_cell_angle_alpha 90.00
_cell_angle_beta 90.00
_cell_angle_gamma 90.00
_space_group_name_H-M_alt 'P n m a'
_space_group_IT_number 62
loop_
_space_group_symop_operation_xyz
'x,y,z'
'-x,-y,-z'
'-x+1/2,-y,z+1/2'
'x+1/2,y,-z+1/2'
'x+1/2,-y+1/2,-z+1/2'
'-x+1/2,y+1/2,z+1/2'
'-x,y+1/2,-z'
'x,-y+1/2,z'
loop_
_atom_site_label
_atom_site_fract_x
_atom_site_fract_y
_atom_site_fract_z
Rb1 0.0843 0.2500 0.1542
Ba1 0.1490 0.2500 0.6056
P1 0.1841 0.7500 0.3926
S1 0.0815 0.7500 0.2286
S2 0.0902 0.7500 0.5637
S3 0.2159 0.0055 0.8846
# Energy of formation ... -142.79 kJ per mole of atoms
# Total magnetic moment ... 0.0 μB/f.u.
# E (MP2020) ... -5.031 eV per atom

***

Entry 8:
# BaP2Rh2 | the Materials Project database | PBE | relaxed
data_BaP2Rh2
_chemical_formula_sum 'Ba2 P4 Rh4'
_cell_length_a 3.9859
_cell_length_b 3.9859
_cell_length_c 12.7596
_cell_angle_alpha 90.00
_cell_angle_beta 90.00
_cell_angle_gamma 90.00
_space_group_name_H-M_alt 'I 4/m m m'
_space_group_IT_number 139
_space_group_name_Hall '-I 4 2'
loop_
_atom_site_label
_atom_site_fract_x
_atom_site_fract_y
_atom_site_fract_z
Ba1 0.0000 0.0000 0.0000
P1 0.0000 0.0000 0.3504
Rh1 0.0000 0.5000 0.2500
# Energy of formation ... -92.16 kJ per mole of atoms

***

Entry 9:
# BaP2Ru2 | the Materials Project database | PBE | relaxed
data_BaP2Ru2
_chemical_formula_sum 'Ba2 P4 Ru4'
_cell_length_a 4.0705
_cell_length_b 4.0705
_cell_length_c 12.2303
_cell_angle_alpha 90.00
_cell_angle_beta 90.00
_cell_angle_gamma 90.00
_space_group_name_H-M_alt 'I 4/m m m'
_space_group_IT_number 139
_space_group_name_Hall '-I 4 2'
loop_
_atom_site_label
_atom_site_fract_x
_atom_site_fract_y
_atom_site_fract_z
Ba1 0.0000 0.0000 0.0000
P1 0.0000 0.0000 0.3432
Ru1 0.0000 0.5000 0.2500
# Energy of formation ... -90.88 kJ per mole of atoms

***

Entry 10:
# Ba3Tb2P4S16 | the Materials Project database | PBE | relaxed
data_Ba3Tb2P4S16
_chemical_formula_sum 'Ba12 Tb8 P16 S64'
_cell_length_a 19.4619
_cell_length_b 10.4354
_cell_length_c 12.7838
_cell_angle_alpha 90.00
_cell_angle_beta 90.00
_cell_angle_gamma 90.00
_space_group_name_H-M_alt 'P b c n'
_space_group_IT_number 60
loop_
_space_group_symop_operation_xyz
'x,y,z'
'-x,-y,-z'
'-x+1/2,-y+1/2,z+1/2'
'x+1/2,y+1/2,-z+1/2'
'x+1/2,-y+1/2,-z'
'-x+1/2,y+1/2,z'
'-x,y,-z+1/2'
'x,-y,z+1/2'
loop_
_atom_site_label
_atom_site_fract_x
_atom_site_fract_y
_atom_site_fract_z
Ba1 0.0000 0.1166 0.2500
Ba2 0.2272 0.2104 0.6073
Tb1 0.0735 0.3716 0.8874
P1 0.1023 0.4961 0.1399
P2 0.1310 0.0629 0.9514
S1 0.0171 0.3885 0.0992
S2 0.0326 0.1195 0.9143
S3 0.0682 0.3203 0.6689
S4 0.1470 0.0692 0.1117
S5 0.1497 0.1143 0.3941
S6 0.1512 0.4360 0.2697
S7 0.1671 0.4952 0.5148
S8 0.1913 0.2083 0.8868
# Energy of formation ... -144.37 kJ per mole of atoms
# Total magnetic moment ... 0.0 μB/f.u.
# E (MP2020) ... -5.611 eV per atom

***

Entry 11:
# Ba3P2Se8 | the Materials Project database | PBE | relaxed
data_Ba3P2Se8
_chemical_formula_sum 'Ba12 P8 Se32'
_cell_length_a 18.3386
_cell_length_b 6.9925
_cell_length_c 12.4326
_cell_angle_alpha 90.00
_cell_angle_beta 90.03
_cell_angle_gamma 90.00
_space_group_name_H-M_alt 'P 1 21/c 1'
_space_group_IT_number 14
loop_
_space_group_symop_operation_xyz
'x,y,z'
'-x,-y,-z'
'-x,y+1/2,-z+1/2'
'x,-y+1/2,z+1/2'
loop_
_atom_site_label
_atom_site_fract_x
_atom_site_fract_y
_atom_site_fract_z
Ba1 0.0775 0.0073 0.1501
Ba2 0.2534 0.0649 0.4728
Ba3 0.4235 0.5156 0.3268
P1 0.1393 0.5439 0.3340
P2 0.3611 0.0203 0.1676
Se1 0.0709 0.7184 0.8982
Se2 0.0909 0.2300 0.8948
Se3 0.1236 0.5446 0.1559
Se4 0.2488 0.5827 0.4094
Se5 0.2514 0.1427 0.2004
Se6 0.3779 0.7356 0.0916
Se7 0.4193 0.0091 0.3254
Se8 0.4196 0.2336 0.0657
# Energy of formation ... -132.75 kJ per mole of atoms
# Total magnetic moment ... 0.0 μB/f.u.
# E (MP2020) ... -4.803 eV per atom

***

Entry 12:
# BaPSe3 | the Materials Project database | PBE | relaxed
data_BaPSe3
_chemical_formula_sum 'Ba4 P4 Se12'
_cell_length_a 7.1698
_cell_length_b 8.1252
_cell_length_c 12.5383
_cell_angle_alpha 90.00
_cell_angle_beta 123.71
_cell_angle_gamma 90.00
_space_group_name_H-M_alt 'P 1 21/c 1'
_space_group_IT_number 14
loop_
_space_group_symop_operation_xyz
'x,y,z'
'-x,-y,-z'
'-x,y+1/2,-z+1/2'
'x,-y+1/2,z+1/2'
loop_
_atom_site_label
_atom_site_fract_x
_atom_site_fract_y
_atom_site_fract_z
Ba1 0.2078 0.0974 0.2482
P1 0.1082 0.6080 0.0605
Se1 0.1336 0.2061 0.9587
Se2 0.2818 0.7000 0.9713
Se3 0.3294 0.5138 0.2573
# Energy of formation ... -124.90 kJ per mole of atoms
# E (MP2020) ... -4.858 eV per atom